# 1
# MgTe6Mo2W2S2

Crystalline MgTe6Mo2W2S2 at its relaxed geometry (PBE, the Materials Project).

## Properties
E_tot: -78.78 eV per cell
SG: P1 (1)
crystal system: triclinic
formation energy: -264.8 meV per atom
E above lowest polymorph: 32 meV/atom

Cell: 3.450 3.450 38.553 Å, 90.00 90.01 120.00°
Element x y z (fractional)
Mg 0.000 0.000 0.000
Te 0.091 0.079 0.168
Te 0.091 0.079 0.265
Te 0.425 0.746 0.358
Te 0.425 0.746 0.454
Te 0.425 0.746 0.733
Te 0.425 0.746 0.829
Mo 0.091 0.079 0.406
Mo 0.425 0.746 0.593
W 0.091 0.079 0.781
W 0.425 0.746 0.216
S 0.091 0.079 0.554
S 0.091 0.079 0.631

***

# 2
# ReSeCl

Crystalline ReSeCl at its relaxed geometry (PBE, the Materials Project).

## Properties
E_tot: -233.71 eV per cell
SG: C222_1 (20)
crystal system: orthorhombic
formation energy: -767.0 meV per atom

Cell: 9.395 9.395 11.023 Å, 90.00 90.00 101.55°
Element x y z (fractional)
Re 0.106 0.609 0.681
Re 0.121 0.879 0.750
Re 0.184 0.687 0.906
Re 0.313 0.816 0.594
Re 0.376 0.624 0.750
Re 0.391 0.894 0.819
Re 0.609 0.106 0.319
Re 0.624 0.376 0.250
Re 0.687 0.184 0.094
Re 0.816 0.313 0.406
Re 0.879 0.121 0.250
Re 0.894 0.391 0.181
Se 0.053 0.796 0.535
Se 0.074 0.324 0.333
Se 0.204 0.947 0.965
Se 0.294 0.553 0.534
Se 0.324 0.074 0.667
Se 0.447 0.706 0.966
Se 0.553 0.294 0.466
Se 0.676 0.926 0.167
Se 0.706 0.447 0.034
Se 0.796 0.053 0.465
Se 0.926 0.676 0.833
Se 0.947 0.204 0.035
Cl 0.044 0.956 0.250
Cl 0.097 0.592 0.111
Cl 0.184 0.434 0.831
Cl 0.408 0.903 0.389
Cl 0.434 0.184 0.169
Cl 0.461 0.539 0.250
Cl 0.539 0.461 0.750
Cl 0.566 0.816 0.669
Cl 0.592 0.097 0.889
Cl 0.816 0.566 0.331
Cl 0.903 0.408 0.611
Cl 0.956 0.044 0.750

***

# 3
# Sn2P2SO12

Crystalline Sn2P2SO12 at its relaxed geometry (PBE, the Materials Project).

## Properties
E_tot: -675.07 eV per cell
formation energy: -2258.7 meV per atom

Cell: 8.744 8.766 22.654 Å, 89.75 90.00 119.92°
Element x y z (fractional)
O 0.299 0.451 0.470
O 0.169 0.976 0.909
O 0.977 0.172 0.590
O 0.639 0.138 0.425
O 0.033 0.208 0.195
P 0.291 0.002 0.250
O 0.366 0.874 0.861
O 0.473 0.309 0.742
P 0.958 0.335 0.584
O 0.861 0.505 0.424
O 0.876 0.507 0.139
Sn 0.334 0.667 0.521
S 0.708 0.710 0.250
O 0.692 0.165 0.742
O 0.491 0.357 0.424
O 0.966 0.785 0.803
O 0.503 0.642 0.575
P 0.290 0.290 0.750
P 0.000 0.290 0.250
Sn 0.994 0.004 0.646
O 0.298 0.840 0.972
O 0.358 0.499 0.075
O 0.785 0.820 0.197
P 0.667 0.623 0.583
Sn 0.001 0.000 0.854
O 0.972 0.805 0.092
O 0.702 0.154 0.030
O 0.160 0.702 0.472
P 0.334 0.957 0.917
O 0.209 0.036 0.305
P 0.710 0.002 0.750
P 0.377 0.335 0.084
O 0.644 0.505 0.924
Sn 0.660 0.337 0.979
O 0.819 0.785 0.303
Sn 0.333 0.667 0.021
O 0.542 0.840 0.472
O 0.025 0.832 0.408
S 0.001 0.710 0.750
S 0.375 0.043 0.583
O 0.843 0.535 0.743
O 0.452 0.154 0.530
O 0.122 0.630 0.362
O 0.632 0.118 0.136
O 0.510 0.868 0.076
O 0.866 0.357 0.924
O 0.965 0.174 0.305
O 0.306 0.472 0.758
Sn 0.327 0.670 0.313
O 0.692 0.535 0.243
O 0.807 0.832 0.908
O 0.311 0.838 0.257
Sn 0.677 0.337 0.479
S 0.335 0.376 0.417
O 0.499 0.138 0.925
O 0.194 0.172 0.090
Sn 0.010 0.004 0.146
O 0.152 0.451 0.970
O 0.824 0.024 0.091
O 0.025 0.201 0.910
O 0.842 0.541 0.028
O 0.369 0.487 0.363
O 0.455 0.296 0.029
O 0.508 0.874 0.361
O 0.528 0.838 0.757
O 0.200 0.024 0.591
O 0.209 0.174 0.805
O 0.493 0.369 0.139
S 0.041 0.376 0.917
O 0.474 0.165 0.242
O 0.543 0.702 0.972
O 0.788 0.963 0.695
S 0.668 0.043 0.083
O 0.176 0.201 0.410
Sn 0.000 0.000 0.354
O 0.158 0.691 0.758
O 0.841 0.296 0.529
O 0.826 0.036 0.805
O 0.806 0.976 0.409
O 0.140 0.499 0.575
O 0.836 0.309 0.242
O 0.876 0.369 0.639
O 0.358 0.868 0.576
P 0.625 0.668 0.917
O 0.533 0.691 0.258
P 0.044 0.668 0.417
O 0.486 0.118 0.636
O 0.631 0.507 0.639
O 0.175 0.208 0.695
P 0.623 0.957 0.417
P 0.956 0.623 0.083
O 0.118 0.487 0.863
O 0.166 0.472 0.258
O 0.175 0.963 0.195
O 0.699 0.541 0.528
O 0.035 0.820 0.697
O 0.508 0.630 0.862
O 0.833 0.805 0.592
Sn 0.666 0.334 0.687
Sn 0.344 0.670 0.813
Sn 0.667 0.334 0.187
O 0.139 0.642 0.075

***

Number 1: V 30.58 A^3/atom. Number 2: V 26.48 A^3/atom. Number 3: V 14.75 A^3/atom.